Record 1
Li3BePCO7, optimized geometry, DFT PBE; DFT total energy = -6.649 eV per atom; formation energy = -241 kJ per mole of atoms; space-group type = P2_1/m (11); energy above the lowest structure with this stoichiometry = 29 meV/atom
1.0
4.783 0.000 0.000
0.000 6.218 0.000
-0.400 0.000 8.211
Li Be P C O
6 2 2 2 14
direct
0.225 0.017 0.258 Li
0.225 0.483 0.258 Li
0.250 0.250 0.620 Li
0.750 0.750 0.380 Li
0.775 0.517 0.742 Li
0.775 0.983 0.742 Li
0.225 0.750 0.864 Be
0.775 0.250 0.136 Be
0.268 0.250 0.927 P
0.732 0.750 0.073 P
0.253 0.750 0.553 C
0.747 0.250 0.447 C
0.013 0.250 0.429 O
0.125 0.250 0.092 O
0.185 0.055 0.818 O
0.185 0.445 0.818 O
0.351 0.750 0.407 O
0.410 0.750 0.034 O
0.424 0.750 0.682 O
0.576 0.250 0.318 O
0.590 0.250 0.966 O
0.649 0.250 0.593 O
0.815 0.555 0.182 O
0.815 0.945 0.182 O
0.875 0.750 0.908 O
0.987 0.750 0.571 O

Record 2
Li3BePCO7, optimized geometry, DFT PBE; maximum piezoelectric response = 1.63 C/m²; total moment = 0.00 μB/cell; DFT total energy = -6.678 eV per atom; formation energy = -244 kJ per mole of atoms; space-group type = P2_1 (4); energy above the lowest structure with this stoichiometry = 0 meV/atom
1.0
4.790 0.000 0.000
0.000 6.845 0.000
-0.019 0.000 8.155
Li Be P C O
6 2 2 2 14
direct
0.043 0.000 0.039 Li
0.077 0.833 0.681 Li
0.448 0.126 0.480 Li
0.552 0.626 0.520 Li
0.923 0.333 0.319 Li
0.957 0.500 0.961 Li
0.484 0.296 0.801 Be
0.516 0.796 0.199 Be
0.460 0.365 0.154 P
0.540 0.865 0.846 P
0.005 0.840 0.351 C
0.995 0.340 0.649 C
0.118 0.296 0.514 O
0.140 0.364 0.782 O
0.143 0.344 0.132 O
0.279 0.865 0.349 O
0.404 0.862 0.021 O
0.417 0.709 0.733 O
0.455 0.064 0.763 O
0.545 0.564 0.237 O
0.583 0.209 0.267 O
0.596 0.362 0.979 O
0.721 0.365 0.651 O
0.857 0.844 0.868 O
0.860 0.864 0.218 O
0.882 0.796 0.486 O

Record 3
CaBe13, optimized geometry, DFT PBE; DFT total energy = -3.714 eV per atom; formation energy = -9 kJ per mole of atoms; space-group type = Fm-3c (226)
1.0
0.000 5.118 5.118
5.118 0.000 5.118
5.118 5.118 0.000
Ca Be
2 26
direct
0.250 0.250 0.250 Ca
0.750 0.750 0.750 Ca
0.000 0.000 0.000 Be
0.065 0.289 0.711 Be
0.065 0.711 0.935 Be
0.065 0.935 0.289 Be
0.211 0.435 0.789 Be
0.211 0.565 0.435 Be
0.211 0.789 0.565 Be
0.289 0.065 0.935 Be
0.289 0.711 0.065 Be
0.289 0.935 0.711 Be
0.435 0.211 0.565 Be
0.435 0.565 0.789 Be
0.435 0.789 0.211 Be
0.500 0.500 0.500 Be
0.565 0.211 0.789 Be
0.565 0.435 0.211 Be
0.565 0.789 0.435 Be
0.711 0.065 0.289 Be
0.711 0.289 0.935 Be
0.711 0.935 0.065 Be
0.789 0.211 0.435 Be
0.789 0.435 0.565 Be
0.789 0.565 0.211 Be
0.935 0.065 0.711 Be
0.935 0.289 0.065 Be
0.935 0.711 0.289 Be

Record 4
Cs2Ca2Be3F12, optimized geometry, DFT PBE; total moment = 0.00 μB/cell; DFT total energy = -5.520 eV per atom; formation energy = -358 kJ per mole of atoms; space-group type = P2_13 (198)
1.0
10.818 0.000 0.000
0.000 10.818 0.000
0.000 0.000 10.818
Cs Ca Be F
8 8 12 48
direct
0.065 0.065 0.065 Cs
0.203 0.703 0.797 Cs
0.297 0.297 0.297 Cs
0.435 0.935 0.565 Cs
0.565 0.435 0.935 Cs
0.703 0.797 0.203 Cs
0.797 0.203 0.703 Cs
0.935 0.565 0.435 Cs
0.082 0.918 0.418 Ca
0.155 0.345 0.655 Ca
0.345 0.655 0.155 Ca
0.418 0.082 0.918 Ca
0.582 0.582 0.582 Ca
0.655 0.155 0.345 Ca
0.845 0.845 0.845 Ca
0.918 0.418 0.082 Ca
0.032 0.736 0.125 Be
0.125 0.032 0.736 Be
0.236 0.375 0.968 Be
0.264 0.625 0.468 Be
0.375 0.968 0.236 Be
0.468 0.264 0.625 Be
0.532 0.764 0.875 Be
0.625 0.468 0.264 Be
0.736 0.125 0.032 Be
0.764 0.875 0.532 Be
0.875 0.532 0.764 Be
0.968 0.236 0.375 Be
0.005 0.099 0.350 F
0.014 0.813 0.247 F
0.024 0.945 0.794 F
0.055 0.294 0.476 F
0.081 0.169 0.745 F
0.099 0.350 0.005 F
0.150 0.995 0.599 F
0.169 0.745 0.081 F
0.187 0.747 0.486 F
0.206 0.524 0.555 F
0.245 0.419 0.831 F
0.247 0.014 0.813 F
0.253 0.986 0.313 F
0.255 0.581 0.331 F
0.294 0.476 0.055 F
0.313 0.253 0.986 F
0.331 0.255 0.581 F
0.350 0.005 0.099 F
0.401 0.650 0.505 F
0.419 0.831 0.245 F
0.445 0.706 0.976 F
0.476 0.055 0.294 F
0.486 0.187 0.747 F
0.495 0.901 0.850 F
0.505 0.401 0.650 F
0.514 0.687 0.753 F
0.524 0.555 0.206 F
0.555 0.206 0.524 F
0.581 0.331 0.255 F
0.599 0.150 0.995 F
0.650 0.505 0.401 F
0.669 0.755 0.919 F
0.687 0.753 0.514 F
0.706 0.976 0.445 F
0.745 0.081 0.169 F
0.747 0.486 0.187 F
0.753 0.514 0.687 F
0.755 0.919 0.669 F
0.794 0.024 0.945 F
0.813 0.247 0.014 F
0.831 0.245 0.419 F
0.850 0.495 0.901 F
0.901 0.850 0.495 F
0.919 0.669 0.755 F
0.945 0.794 0.024 F
0.976 0.445 0.706 F
0.986 0.313 0.253 F
0.995 0.599 0.150 F